Record 1
DFT (PBE) results for a relaxed structure of CaTeO3.

**Symmetry**: P4_3 (78)

Cell and atoms, written as extended XYZ:
```
100
Lattice="12.2727 0.0000 0.0000 0.0000 12.2727 0.0000 0.0000 0.0000 11.1977" Properties=species:S:1:pos:R:3 pbc="T T T"
Ca 0.4614 7.8142 0.0398
Ca 0.8020 8.1289 5.6374
Ca 1.8969 5.6679 8.3983
Ca 2.8726 9.3104 8.6436
Ca 2.9622 2.8726 5.8441
Ca 3.1609 3.3448 0.1030
Ca 3.3448 9.1117 2.9025
Ca 4.1438 0.8020 2.8380
Ca 4.4585 0.4614 8.4381
Ca 5.6679 10.3758 0.0000
Ca 6.6047 1.8969 5.5989
Ca 7.8142 11.8112 2.8393
Ca 8.1289 11.4707 8.4369
Ca 8.9279 3.1609 8.5013
Ca 9.1117 8.9279 5.7019
Ca 9.3104 9.4001 0.2453
Ca 9.4001 2.9622 3.0447
Ca 10.3758 6.6047 2.7994
Ca 11.4707 4.1438 0.0386
Ca 11.8112 4.4585 5.6387
Te 0.6811 2.3152 8.4394
Te 0.7287 1.9523 3.1112
Te 1.4227 6.0543 2.7412
Te 1.9523 11.5440 5.9106
Te 2.3152 11.5916 0.0411
Te 4.0609 6.9037 5.8910
Te 4.1948 6.8475 10.9847
Te 5.3689 4.0609 3.0916
Te 5.4252 4.1948 8.1853
Te 6.0543 10.8500 5.5407
Te 6.2183 1.4227 11.1395
Te 6.8475 8.0778 2.5864
Te 6.9037 8.2118 8.6904
Te 8.0778 5.4252 5.3858
Te 8.2118 5.3689 0.2921
Te 9.9574 0.6811 5.6400
Te 10.3203 0.7287 0.3118
Te 10.8500 6.2183 8.3401
Te 11.5440 10.3203 8.7101
Te 11.5916 9.9574 2.8406
O 0.0492 5.7976 1.4131
O 0.1102 6.3301 4.1283
O 0.6502 9.4972 7.6733
O 1.1190 3.1755 10.0749
O 1.2276 3.3962 4.2329
O 1.2325 3.6968 7.2490
O 1.2425 10.0831 10.8794
O 1.5742 7.8769 2.1857
O 2.0330 10.0708 4.7123
O 2.1896 1.2425 8.0800
O 2.2019 2.0330 1.9129
O 2.5801 7.3458 10.0845
O 2.7609 7.5614 7.0993
O 2.7755 0.6502 4.8739
O 3.0064 7.2389 4.3768
O 3.1755 11.1536 1.6766
O 3.3962 11.0451 7.0323
O 3.4111 5.5918 0.9725
O 3.6348 5.1024 6.2184
O 3.6968 11.0401 10.0484
O 3.8935 4.4993 9.2987
O 4.3957 1.5742 10.5840
O 4.4993 8.3792 0.9004
O 4.7112 2.7609 4.2999
O 4.9269 2.5801 7.2850
O 5.0338 3.0064 1.5774
O 5.1024 8.6378 9.0179
O 5.5918 8.8615 3.7719
O 5.7976 12.2234 4.2126
O 5.9426 0.1102 1.3289
O 6.3301 12.1625 6.9278
O 6.4751 0.0492 9.8114
O 6.6808 3.4111 9.3708
O 7.1703 3.6348 3.4190
O 7.2389 9.2663 7.1762
O 7.3458 9.6925 1.6862
O 7.5614 9.5117 9.8987
O 7.7733 3.8935 6.4992
O 7.8769 10.6985 4.9851
O 8.3792 7.7733 3.6998
O 8.5759 1.2325 4.4495
O 8.6378 7.1703 0.6196
O 8.8615 6.6808 6.5713
O 8.8764 1.2276 1.4334
O 9.0971 1.1190 7.2755
O 9.2663 5.0338 9.9757
O 9.4972 11.6225 10.4728
O 9.5117 4.7112 1.5004
O 9.6925 4.9269 4.4856
O 10.0708 10.2396 7.5117
O 10.0831 11.0302 2.4811
O 10.2396 2.2019 10.3111
O 10.6985 4.3957 7.7846
O 11.0302 2.1896 5.2805
O 11.0401 8.5759 1.6501
O 11.0451 8.8764 9.8317
O 11.1536 9.0971 4.4760
O 11.6225 2.7755 2.0745
O 12.1625 5.9426 9.7272
O 12.2234 6.4751 7.0120
```


Record 2
DFT (PBE) results for a relaxed structure of CaTeO3.

**Symmetry**: P2_1 (4)
**Piezoelectric modulus e_max**: 0.23 C/m2

Cell and atoms, written as extended XYZ:
```
30
Lattice="8.7703 0.0000 0.0000 0.0000 5.7482 0.0000 -4.0392 0.0000 10.7673" Properties=species:S:1:pos:R:3 pbc="T T T"
Ca -0.5022 0.0000 1.4156
Ca -2.3288 5.3372 6.6601
Ca -1.2151 5.6464 10.2515
Ca 5.9462 2.7723 0.5158
Ca 7.0598 2.4631 4.1072
Ca 5.2332 2.8741 9.3517
Te 1.5201 2.8366 1.8534
Te 0.7188 5.2000 5.1125
Te -0.2197 2.4214 8.1225
Te 4.9507 5.2955 2.6448
Te 4.0122 2.3259 5.6548
Te 3.2110 5.7107 8.9139
O -0.1901 2.2308 2.3657
O 1.1065 4.1735 0.5602
O -1.7546 1.3175 8.2048
O -0.5260 0.8365 5.3584
O -0.5277 3.8648 5.5844
O 1.6316 1.4796 0.5317
O -1.1848 3.9891 8.6009
O 0.8491 5.0109 3.2480
O 0.4418 1.7815 9.7894
O 4.2892 4.6556 0.9779
O 3.8819 2.1368 7.5193
O 5.9158 1.1150 2.1664
O 3.0995 4.3537 10.2356
O 5.2587 0.9907 5.1829
O 5.2570 3.7106 5.4089
O 6.4856 4.1916 2.5625
O 3.6245 1.2994 10.2071
O 4.9212 5.1050 8.4016
```


Record 3
DFT (PBE) results for a relaxed structure of CaTeO3.

**Symmetry**: P4_1 (76)

Cell and atoms, written as extended XYZ:
```
100
Lattice="12.2727 0.0000 0.0000 0.0000 12.2727 0.0000 0.0000 0.0000 11.1977" Properties=species:S:1:pos:R:3 pbc="T T T"
Ca 0.4684 4.2395 0.0000
Ca 1.6778 6.5977 8.4381
Ca 1.9926 6.9383 2.8380
Ca 2.7916 2.9754 2.9025
Ca 2.9754 9.4811 0.1030
Ca 3.1741 9.0089 5.8441
Ca 3.2638 3.1741 8.6436
Ca 4.2395 11.8043 8.3983
Ca 5.3343 1.9926 5.6374
Ca 5.6749 1.6778 0.0398
Ca 6.5977 10.5948 5.6387
Ca 6.9383 10.2801 0.0386
Ca 8.0332 0.4684 2.7994
Ca 9.0089 9.0986 3.0447
Ca 9.0986 3.2638 0.2453
Ca 9.2973 2.7916 5.7019
Ca 9.4811 9.2973 8.5013
Ca 10.2801 5.3343 8.4369
Ca 10.5948 5.6749 2.8393
Ca 11.8043 8.0332 5.5989
Te 0.0820 4.7137 5.5407
Te 0.7111 10.3312 8.1853
Te 0.7674 10.1972 3.0916
Te 1.9415 0.7111 10.9847
Te 2.0755 0.7674 5.8910
Te 3.8211 5.4552 0.0411
Te 4.1840 5.4076 5.9106
Te 4.7137 12.1907 2.7412
Te 5.4076 8.0887 3.1112
Te 5.4552 8.4516 8.4394
Te 6.8174 3.8211 2.8406
Te 6.8650 4.1840 8.7101
Te 7.5590 0.0820 8.3401
Te 8.0887 6.8650 0.3118
Te 8.4516 6.8174 5.6400
Te 10.1972 11.5053 0.2921
Te 10.3312 11.5615 5.3858
Te 11.5053 2.0755 8.6904
Te 11.5615 1.9415 2.5864
Te 12.1907 7.5590 11.1395
O 0.1938 6.2465 1.3289
O 0.3387 6.0871 4.2126
O 0.5445 2.7252 3.7719
O 1.0340 2.5015 9.0179
O 1.1026 9.1427 1.5774
O 1.2094 8.7164 7.2850
O 1.4251 8.8973 4.2999
O 1.6370 2.2428 0.9004
O 1.7406 7.7105 10.5840
O 2.2428 10.6356 9.2987
O 2.4396 4.9038 10.0484
O 2.5015 11.2387 6.2184
O 2.7252 11.7282 0.9725
O 2.7401 4.9087 7.0323
O 2.9608 5.0173 1.6766
O 3.1300 1.1026 4.3768
O 3.3609 6.7865 4.8739
O 3.3754 1.4251 7.0993
O 3.5562 1.2094 10.0845
O 3.9345 8.1693 1.9129
O 3.9468 7.3788 8.0800
O 4.1033 3.9345 4.7123
O 4.5622 1.7406 2.1857
O 4.8938 3.9468 10.8794
O 4.9087 9.5325 4.2329
O 4.9038 9.8331 7.2490
O 5.0173 9.3119 10.0749
O 5.4862 3.3609 7.6733
O 6.0261 0.1938 4.1283
O 6.0871 11.9339 1.4131
O 6.1855 0.3387 7.0120
O 6.2465 12.0789 9.7272
O 6.7865 8.9118 2.0745
O 7.2554 2.9608 4.4760
O 7.3688 2.4396 1.6501
O 7.3639 2.7401 9.8317
O 7.3788 8.3259 5.2805
O 7.7105 10.5320 7.7846
O 8.1693 8.3382 10.3111
O 8.3259 4.8938 2.4811
O 8.3382 4.1033 7.5117
O 8.7164 11.0632 4.4856
O 8.8973 10.8476 1.5004
O 8.9118 5.4862 10.4728
O 9.1427 11.1701 9.9757
O 9.3119 7.2554 7.2755
O 9.5325 7.3639 1.4334
O 9.5475 0.5445 6.5713
O 9.7712 1.0340 0.6196
O 9.8331 7.3688 4.4495
O 10.0298 1.6370 3.6998
O 10.5320 4.5622 4.9851
O 10.6356 10.0298 6.4992
O 10.8476 3.3754 9.8987
O 11.0632 3.5562 1.6862
O 11.1701 3.1300 7.1762
O 11.2387 9.7712 3.4190
O 11.7282 9.5475 9.3708
O 11.9339 6.1855 9.8114
O 12.0789 6.0261 6.9278
```


Record 4
DFT (PBE) results for a relaxed structure of CaTeO3.

**Symmetry**: P1 (1)

Cell and atoms, written as extended XYZ:
```
90
Lattice="10.4560 0.0000 0.0000 3.4186 10.9451 0.0000 1.2072 2.7000 13.9070" Properties=species:S:1:pos:R:3 pbc="T T T"
Ca 0.0000 0.0000 0.0000
Ca 1.8085 5.4644 0.2902
Ca 4.2285 10.5172 3.7162
Ca 4.8648 10.4888 7.9633
Ca 3.9885 5.3037 11.9576
Ca 5.8804 10.2737 11.5984
Ca 6.0355 7.1215 9.3907
Ca 8.0986 12.5884 9.2787
Ca 8.4642 12.5875 13.0982
Ca 7.9841 9.3265 3.4006
Ca 8.4904 9.3056 7.2367
Ca 7.1350 3.8036 7.2395
Ca 10.7291 11.6002 4.8921
Ca 9.2105 5.6751 4.7367
Ca 11.7335 11.4123 8.5764
Ca 12.5636 11.4295 12.7219
Ca 9.8570 2.9788 2.2849
Ca 11.8064 8.4318 2.6050
Te 1.0573 2.3541 10.1249
Te 2.2873 5.3017 3.7003
Te 3.5495 5.1809 7.9808
Te 4.4438 7.8953 0.9021
Te 2.8534 1.6134 1.7391
Te 6.0336 7.5057 5.6240
Te 4.1582 1.3678 5.9524
Te 6.6566 6.8887 13.3107
Te 6.3086 4.1204 3.4083
Te 7.1152 3.3447 11.0366
Te 9.0329 9.5388 10.5543
Te 8.8264 6.9021 1.0692
Te 7.3335 0.4751 1.6377
Te 9.6101 5.7832 8.6758
Te 10.8169 5.7602 12.7421
Te 12.1827 8.6854 6.3355
Te 10.4603 2.4968 6.2462
Te 13.1346 8.4683 10.2505
O 1.7968 4.5892 12.3432
O 2.8337 7.6049 11.9250
O 4.2765 11.8249 5.6934
O 0.9713 1.2998 1.7952
O 3.5532 9.2570 1.8767
O 4.2478 10.1233 13.5902
O 2.9036 6.5623 2.4266
O 4.4958 9.0682 10.0361
O 3.7682 5.9821 9.6843
O 5.9181 12.0850 10.1313
O 3.3288 3.3611 8.3407
O 6.2905 11.8561 13.5019
O 3.7062 4.0857 0.1171
O 4.3898 3.7653 13.8647
O 5.7438 8.8989 4.3856
O 6.5862 10.9646 2.6751
O 5.9354 8.4410 7.2837
O 6.9812 11.3483 7.4779
O 5.3806 5.3349 7.5737
O 6.9401 8.7199 13.0003
O 5.2114 3.2908 11.1110
O 6.1520 6.2730 11.5928
O 7.4005 8.9737 9.7949
O 8.2454 11.0343 11.3972
O 8.4055 10.7811 5.2284
O 5.7140 1.9956 6.8221
O 6.0484 2.2766 3.6829
O 8.0286 8.6085 0.9050
O 7.9280 7.6312 5.5193
O 7.0382 4.6772 5.0638
O 7.7909 5.5802 9.1072
O 9.5676 10.5559 9.0496
O 7.2052 2.4749 9.3412
O 10.7532 12.8251 12.2197
O 7.9120 4.2701 2.4438
O 9.0605 7.1345 2.9191
O 10.1294 10.1497 2.9454
O 9.7753 7.6138 8.3274
O 10.6842 9.8181 6.4478
O 9.3921 4.9797 6.9754
O 8.6545 1.8772 6.5232
O 8.7929 1.8503 0.0370
O 8.6892 1.0111 2.8543
O 10.6431 7.2876 0.5937
O 11.7205 10.0841 0.7054
O 12.3077 10.1212 10.7554
O 10.2779 4.1645 0.1877
O 10.1953 3.3911 4.5971
O 11.4509 6.4543 4.4417
O 12.7824 9.3573 4.6695
O 13.9099 12.2745 8.8968
O 14.1810 12.7860 11.7809
O 13.1784 9.6947 7.6013
O 11.7975 4.3440 2.4032
```


| no. | V (Å³/f.u.) | energy with MP2020 corrections (eV per cell) | calculated formation energy (eV/atom) |
| --- | --- | --- | --- |
| 1 | 84.3 | -640.685 | -2.4083 |
| 2 | 90.5 | -191.901 | -2.3981 |
| 3 | 84.3 | -640.963 | -2.4111 |
| 4 | 88.4 | -575.647 | -2.3975 |